Record 1
First-principles (PBE with a Hubbard U) data for a geometry-optimized Li3Fe5O12 structure, as listed in the Materials Project database.

abc: 5.0115 5.3541 7.3701
angles: 94.90 90.04 90.53
Fractional coordinates of all 20 atoms:
O1 0.3236 0.1603 0.9588
O2 0.3771 0.4712 0.2563
O3 0.6567 0.4603 0.7592
O4 0.8244 0.6548 0.4662
O5 0.7009 0.7753 0.0839
O6 0.2913 0.7760 0.5845
O7 0.1823 0.3081 0.5943
O8 0.8804 0.9441 0.7632
O9 0.1775 0.6534 0.9411
O10 0.8056 0.2784 0.0838
O11 0.1253 0.9659 0.2562
O12 0.6559 0.1533 0.4562
Li1 0.9999 0.5727 0.2155
Li2 0.5014 0.0634 0.2084
Li3 0.5001 0.0602 0.7201
Fe1 0.0002 0.9956 0.0159
Fe2 0.9889 0.0073 0.4943
Fe3 0.0019 0.6009 0.7067
Fe4 0.5083 0.4796 0.0094
Fe5 0.4983 0.4784 0.4964

Properties
**Energy relative to the elements**: -1.45 eV/atom
**Mass density**: 4.15 g cm⁻³
**VASP energy**: -5.85 eV per atom
**ΔE to the lowest computed polymorph**: 1 kJ/mol of formula units

---

Record 2
First-principles (PBE with a Hubbard U) data for a geometry-optimized Li5Fe5O12 structure, as listed in the Materials Project database.

abc: 5.0964 5.1005 19.7110
angles: 92.35 93.27 119.52
Fractional coordinates of all 44 atoms:
O1 0.2332 0.7224 0.0715
O2 0.9903 0.8418 0.5723
O3 0.2982 0.8092 0.4326
O4 0.0986 0.2683 0.8200
O5 0.5090 0.0411 0.1804
O6 0.7089 0.2360 0.5707
O7 0.6449 0.4527 0.4294
O8 0.8578 0.0106 0.0735
O9 0.0167 0.5417 0.6794
O10 0.1553 0.9787 0.9296
O11 0.2975 0.1076 0.3204
O12 0.8940 0.7465 0.1757
O13 0.3405 0.4829 0.5728
O14 0.9747 0.1492 0.4282
O15 0.9410 0.4548 0.3174
O16 0.7965 0.6056 0.8222
O17 0.4117 0.2592 0.6782
O18 0.4572 0.6421 0.9281
O19 0.4697 0.3261 0.0695
O20 0.4429 0.9496 0.8179
O21 0.8118 0.2987 0.9322
O22 0.7693 0.9091 0.6772
O23 0.6013 0.7780 0.3218
O24 0.2696 0.4065 0.1786
Li1 0.3508 0.1635 0.5022
Li2 0.2399 0.7377 0.2481
Li3 0.0950 0.9061 0.7474
Li4 0.5873 0.4013 0.2476
Li5 0.1552 0.3435 0.0026
Li6 0.7458 0.2444 0.7477
Li7 0.0085 0.5119 0.5023
Li8 0.8729 0.3758 0.1251
Li9 0.3777 0.8737 0.6251
Li10 0.5035 0.0162 0.0025
Fe1 0.2072 0.0460 0.1249
Fe2 0.5544 0.7178 0.1248
Fe3 0.1273 0.6242 0.8749
Fe4 0.2901 0.4615 0.3750
Fe5 0.9598 0.7917 0.3748
Fe6 0.4610 0.2889 0.8752
Fe7 0.7928 0.9591 0.8750
Fe8 0.6283 0.1229 0.3750
Fe9 0.0452 0.2056 0.6251
Fe10 0.7088 0.5418 0.6250

Properties
**Energy relative to the elements**: -1.71 eV/atom
**Mass density**: 3.79 g cm⁻³
**VASP energy**: -5.88 eV per atom
**ΔE to the lowest computed polymorph**: 0 kJ/mol of formula units

---

Record 3
First-principles (PBE with a Hubbard U) data for a geometry-optimized LiFe3O4 structure, as listed in the Materials Project database.

abc: 3.0619 5.1763 5.2106
angles: 107.15 90.62 89.98
Fractional coordinates of all 8 atoms:
O1 0.4893 0.7637 0.7761
O2 0.0060 0.7579 0.2535
O3 0.5107 0.2363 0.2239
O4 0.9940 0.2421 0.7465
Fe1 0.5000 0.0000 0.5000
Fe2 0.0000 0.0000 0.0000
Fe3 0.0000 0.5000 0.5000
Li1 0.5000 0.5000 0.0000

Properties
**Energy relative to the elements**: -1.67 eV/atom
**Mass density**: 5.02 g cm⁻³
**VASP energy**: -6.37 eV per atom

---

Record 4
First-principles (PBE with a Hubbard U) data for a geometry-optimized Li5Fe4O8 structure, as listed in the Materials Project database.

abc: 6.0747 6.0747 6.0747
angles: 59.88 59.88 59.88
Fractional coordinates of all 17 atoms:
O1 0.2596 0.7373 0.7373
O2 0.2337 0.7301 0.2337
O3 0.7373 0.7373 0.2596
O4 0.7301 0.2337 0.2337
O5 0.2337 0.2337 0.7301
O6 0.7343 0.7343 0.7343
O7 0.2483 0.2483 0.2483
O8 0.7373 0.2596 0.7373
Li1 0.5534 0.9655 0.9655
Li2 0.1247 0.1247 0.1247
Li3 0.4914 0.4914 0.4914
Li4 0.9655 0.9655 0.5534
Li5 0.9655 0.5534 0.9655
Fe1 0.4903 0.9906 0.4903
Fe2 0.4903 0.4903 0.9906
Fe3 0.9777 0.9777 0.9777
Fe4 0.9906 0.4903 0.4903

Properties
**Energy relative to the elements**: -1.85 eV/atom
**Mass density**: 4.06 g cm⁻³
**VASP energy**: -5.88 eV per atom
**Maximum piezoelectric response**: 0.64 C/m²

---

Record 5
First-principles (PBE with a Hubbard U) data for a geometry-optimized LiFeO2 structure, as listed in the Materials Project database.

abc: 2.9757 2.9757 10.0795
angles: 90.00 90.00 120.00
Fractional coordinates of all 8 atoms:
O1 0.3333 0.6667 0.8875
O2 0.0000 0.0000 0.6139
O3 0.6667 0.3333 0.3875
O4 0.0000 0.0000 0.1139
Li1 0.3333 0.6667 0.2400
Li2 0.6667 0.3333 0.7400
Fe1 0.3333 0.6667 0.4998
Fe2 0.6667 0.3333 0.9998

Properties
**Energy relative to the elements**: -1.91 eV/atom
**Mass density**: 4.07 g cm⁻³
**VASP energy**: -6.07 eV per atom
**Maximum piezoelectric response**: 1.29 C/m²

---

Record 6
First-principles (PBE with a Hubbard U) data for a geometry-optimized LiFe8O16 structure, as listed in the Materials Project database.

abc: 2.9570 10.4481 10.3640
angles: 89.84 90.00 90.01
Fractional coordinates of all 25 atoms:
O1 0.9962 0.6192 0.7141
O2 0.4932 0.1412 0.2124
O3 0.9990 0.3199 0.0502
O4 0.0070 0.2618 0.6675
O5 0.0047 0.9338 0.3380
O6 0.4958 0.8152 0.5448
O7 0.0048 0.0155 0.6686
O8 0.5040 0.7623 0.1469
O9 0.9992 0.6289 0.9568
O10 0.9961 0.3296 0.2929
O11 0.5011 0.5218 0.1631
O12 0.0072 0.6873 0.3394
O13 0.5039 0.1864 0.8599
O14 0.4954 0.1338 0.4618
O15 0.5010 0.4268 0.8441
O16 0.4937 0.8078 0.7941
Fe1 0.5097 0.1431 0.6666
Fe2 0.0024 0.3070 0.8602
Fe3 0.5099 0.8060 0.3399
Fe4 0.9902 0.1370 0.3319
Fe5 0.4978 0.6157 0.8358
Fe6 0.4976 0.3332 0.1712
Fe7 0.0025 0.6417 0.1468
Fe8 0.9908 0.8118 0.6747
Li1 0.2260 0.9745 0.5034

Properties
**Energy relative to the elements**: -1.31 eV/atom
**Mass density**: 3.68 g cm⁻³
**VASP energy**: -6.10 eV per atom
**ΔE to the lowest computed polymorph**: 83 kJ/mol of formula units

---

Record 7
First-principles (PBE with a Hubbard U) data for a geometry-optimized Li8Fe2O9 structure, as listed in the Materials Project database.

abc: 5.7414 8.6330 14.8284
angles: 87.13 100.86 109.10
Fractional coordinates of all 76 atoms:
O1 0.4672 0.3747 0.7513
O2 0.0180 0.3588 0.9365
O3 0.5417 0.3664 0.9382
O4 0.9820 0.6412 0.0635
O5 0.0784 0.8634 0.5600
O6 0.2248 0.1172 0.0593
O7 0.8375 0.3851 0.5598
O8 0.9185 0.3740 0.7490
O9 0.6389 0.6105 0.4326
O10 0.3075 0.1245 0.2493
O11 0.8078 0.1262 0.2520
O12 0.1922 0.8738 0.7480
O13 0.9929 0.9014 0.3450
O14 0.8585 0.5965 0.8579
O15 0.0815 0.6260 0.2510
O16 0.1625 0.6149 0.4402
O17 0.2956 0.8838 0.9340
O18 0.5265 0.1524 0.6419
O19 0.6218 0.3498 0.1554
O20 0.3782 0.6502 0.8446
O21 0.6925 0.8755 0.7507
O22 0.7752 0.8828 0.9407
O23 0.7044 0.1162 0.0660
O24 0.7704 0.6286 0.6536
O25 0.4735 0.8476 0.3581
O26 0.5328 0.6253 0.2487
O27 0.3906 0.1306 0.4377
O28 0.6103 0.1213 0.8462
O29 0.6094 0.8694 0.5623
O30 0.4583 0.6336 0.0618
O31 0.0071 0.0986 0.6550
O32 0.3897 0.8787 0.1538
O33 0.2296 0.3714 0.3464
O34 0.9216 0.1366 0.4400
O35 0.3611 0.3895 0.5674
O36 0.1415 0.4035 0.1421
Li1 0.7901 0.8780 0.4516
Li2 0.0671 0.3762 0.4653
Li3 0.7180 0.1249 0.5482
Li4 0.0224 0.1488 0.1517
Li5 0.8939 0.1221 0.9634
Li6 0.3300 0.1207 0.7404
Li7 0.9776 0.8512 0.8483
Li8 0.1061 0.8779 0.0366
Li9 0.7415 0.5926 0.1517
Li10 0.4023 0.8977 0.6490
Li11 0.0535 0.6273 0.7586
Li12 0.8754 0.6577 0.3448
Li13 0.1694 0.6246 0.9506
Li14 0.7892 0.1212 0.7406
Li15 0.1246 0.3423 0.6552
Li16 0.9329 0.6238 0.5347
Li17 0.5145 0.3714 0.4576
Li18 0.6690 0.6274 0.9532
Li19 0.5610 0.8745 0.0413
Li20 0.3310 0.3726 0.0468
Li21 0.9465 0.3727 0.2414
Li22 0.2820 0.8751 0.4518
Li23 0.2585 0.4074 0.8483
Li24 0.5977 0.1023 0.3510
Li25 0.4046 0.3720 0.2399
Li26 0.2108 0.8788 0.2594
Li27 0.8306 0.3754 0.0494
Li28 0.4855 0.6286 0.5424
Li29 0.6700 0.8793 0.2596
Li30 0.5954 0.6280 0.7601
Li31 0.4390 0.1255 0.9587
Li32 0.2099 0.1220 0.5484
Fe1 0.5072 0.1225 0.1515
Fe2 0.6412 0.3780 0.6472
Fe3 0.4928 0.8775 0.8485
Fe4 0.2570 0.6290 0.1458
Fe5 0.7430 0.3710 0.8542
Fe6 0.8917 0.8714 0.6492
Fe7 0.1083 0.1286 0.3508
Fe8 0.3588 0.6220 0.3528

Properties
**Energy relative to the elements**: -1.84 eV/atom
**Mass density**: 3.03 g cm⁻³
**VASP energy**: -5.32 eV per atom

---

Record 8
First-principles (PBE with a Hubbard U) data for a geometry-optimized Li12Fe5O16 structure, as listed in the Materials Project database.

abc: 5.8703 5.8926 9.7907
angles: 92.47 90.54 118.62
Fractional coordinates of all 33 atoms:
O1 0.1931 0.8479 0.5872
O2 0.6644 0.8536 0.5981
O3 0.6534 0.3088 0.6177
O4 0.0047 0.0174 0.8223
O5 0.0683 0.5796 0.3453
O6 0.4996 0.0214 0.8537
O7 0.3195 0.6750 0.1024
O8 0.8195 0.6683 0.0654
O9 0.0430 0.1042 0.3128
O10 0.9715 0.4683 0.8355
O11 0.8272 0.2124 0.0873
O12 0.3309 0.2205 0.0952
O13 0.5223 0.5901 0.3523
O14 0.5263 0.0632 0.3572
O15 0.1570 0.3228 0.6047
O16 0.4966 0.4773 0.8464
Fe1 0.8336 0.1674 0.7141
Fe2 0.6595 0.3462 0.9725
Fe3 0.3859 0.7698 0.4597
Fe4 0.1960 0.4013 0.2142
Fe5 0.3264 0.1633 0.7152
Li1 0.8154 0.6561 0.7198
Li2 0.3218 0.6567 0.7216
Li3 0.1596 0.7797 0.9569
Li4 0.3759 0.2610 0.4485
Li5 0.6696 0.9128 0.2235
Li6 0.9869 0.0132 0.0297
Li7 0.7177 0.4362 0.2347
Li8 0.1846 0.3818 0.9483
Li9 0.8791 0.2604 0.4461
Li10 0.5853 0.7896 0.9670
Li11 0.2275 0.9159 0.2235
Li12 0.9006 0.8033 0.4532

Properties
**Energy relative to the elements**: -1.82 eV/atom
**Mass density**: 3.46 g cm⁻³
**VASP energy**: -5.52 eV per atom

---

Record 9
First-principles (PBE with a Hubbard U) data for a geometry-optimized LiFeO2 structure, as listed in the Materials Project database.

abc: 3.0249 3.0249 3.9468
angles: 90.00 90.00 90.00
Fractional coordinates of all 4 atoms:
O1 0.5000 0.5000 0.0000
O2 0.0000 0.0000 0.5000
Li1 0.0000 0.0000 0.0000
Fe1 0.5000 0.5000 0.5000

Properties
**Energy relative to the elements**: -1.83 eV/atom
**Mass density**: 4.36 g cm⁻³
**VASP energy**: -5.99 eV per atom

---

Record 10
First-principles (PBE with a Hubbard U) data for a geometry-optimized Li2Fe3O4 structure, as listed in the Materials Project database.

abc: 6.2593 6.5268 6.2521
angles: 90.00 60.04 121.42
Fractional coordinates of all 18 atoms:
O1 0.5188 0.2594 0.2524
O2 0.4812 0.7406 0.7476
O3 0.4812 0.7406 0.2712
O4 0.9749 0.2159 0.7626
O5 0.9749 0.7589 0.7626
O6 0.0251 0.7841 0.2374
O7 0.5188 0.2594 0.7288
O8 0.0251 0.2411 0.2374
Fe1 0.0000 0.0000 0.5000
Fe2 0.0000 0.5000 0.0000
Fe3 0.5000 0.0000 0.5000
Fe4 0.0000 0.5000 0.5000
Fe5 0.5000 0.5000 0.5000
Fe6 0.0000 0.0000 0.0000
Li1 0.5000 0.0000 0.0000
Li2 0.5000 0.5000 0.0000
Li3 0.3233 0.1616 0.0884
Li4 0.6767 0.8384 0.9116

Properties
**Energy relative to the elements**: -1.45 eV/atom
**Mass density**: 4.61 g cm⁻³
**VASP energy**: -5.84 eV per atom

---

Record 11
First-principles (PBE with a Hubbard U) data for a geometry-optimized Li5Fe11O16 structure, as listed in the Materials Project database.

abc: 6.0423 6.0618 10.3428
angles: 74.03 74.00 60.52
Fractional coordinates of all 32 atoms:
Li1 0.8130 0.3138 0.0624
Li2 0.3127 0.8111 0.0622
Li3 0.8136 0.3139 0.5638
Li4 0.3129 0.8114 0.5639
Li5 0.8148 0.8129 0.0604
Fe1 0.5687 0.0621 0.3077
Fe2 0.3264 0.3123 0.0604
Fe3 0.0532 0.5672 0.8176
Fe4 0.5714 0.5690 0.3089
Fe5 0.8106 0.8145 0.5591
Fe6 0.0536 0.0574 0.8212
Fe7 0.3120 0.3064 0.5663
Fe8 0.5610 0.5606 0.8127
Fe9 0.0627 0.0610 0.3132
Fe10 0.5635 0.0568 0.8181
Fe11 0.0632 0.5669 0.3085
O1 0.4250 0.4282 0.6924
O2 0.4214 0.9403 0.1918
O3 0.6847 0.2082 0.4348
O4 0.1959 0.1957 0.4320
O5 0.6868 0.6852 0.4348
O6 0.2108 0.6837 0.4328
O7 0.6955 0.6869 0.9250
O8 0.4211 0.9569 0.6804
O9 0.4408 0.4409 0.1859
O10 0.1854 0.6682 0.9423
O11 0.9584 0.4332 0.6836
O12 0.9407 0.9379 0.2021
O13 0.9408 0.4177 0.1950
O14 0.1830 0.2104 0.9407
O15 0.9438 0.9127 0.6902
O16 0.6814 0.1875 0.9466

Properties
**Energy relative to the elements**: -1.73 eV/atom
**Mass density**: 4.81 g cm⁻³
**VASP energy**: -6.29 eV per atom
**ΔE to the lowest computed polymorph**: 61 kJ/mol of formula units

---

Record 12
First-principles (PBE with a Hubbard U) data for a geometry-optimized Li11Fe4O12 structure, as listed in the Materials Project database.

abc: 3.4964 8.9974 9.0657
angles: 89.27 90.00 90.00
Fractional coordinates of all 27 atoms:
Li1 0.0000 0.1701 0.1747
Li2 0.5000 0.3267 0.6696
Li3 0.5000 0.3576 0.0982
Li4 0.0000 0.3996 0.8522
Li5 0.0000 0.8563 0.3991
Li6 0.0000 0.1287 0.6027
Li7 0.5000 0.0964 0.3597
Li8 0.5000 0.8878 0.6862
Li9 0.0000 0.5992 0.1409
Li10 0.5000 0.6690 0.3295
Li11 0.5000 0.6816 0.8911
O1 0.0000 0.5985 0.3990
O2 0.5000 0.1023 0.1036
O3 0.0000 0.8141 0.6037
O4 0.5000 0.9050 0.9076
O5 0.5000 0.6835 0.1095
O6 0.5000 0.8880 0.3150
O7 0.0000 0.6062 0.8107
O8 0.5000 0.1073 0.6885
O9 0.5000 0.3158 0.8896
O10 0.0000 0.3885 0.1843
O11 0.0000 0.1785 0.3937
O12 0.0000 0.3988 0.6002
Fe1 0.0000 0.6159 0.6145
Fe2 0.0000 0.3838 0.3877
Fe3 0.5000 0.8867 0.1134
Fe4 0.5000 0.1126 0.8898

Properties
**Energy relative to the elements**: -1.87 eV/atom
**Mass density**: 2.86 g cm⁻³
**VASP energy**: -5.46 eV per atom